This record from the Materials Project describes a geometry-optimized NdOsO4 structure. The functional is meta-GGA r2SCAN.

Structure (POSCAR):
```
NdOsO4
1.0
-1.7324 -5.0184 -1.3832
6.8483 -2.7989 1.5775
-4.2587 -2.4348 14.1680
O Nd Os
32 8 8
direct
0.5162 0.1007 0.4169
0.0415 0.1602 0.1050
0.0415 0.3398 0.6050
0.5418 0.6563 0.0600
0.3348 0.1243 0.8329
0.9168 0.3191 0.7785
0.5418 0.8437 0.5600
0.5415 0.6602 0.3950
0.3348 0.3757 0.3329
0.5415 0.8398 0.8950
0.6508 0.1222 0.6636
0.0162 0.8993 0.5831
0.9383 0.5818 0.2713
0.4383 0.4182 0.7287
0.0418 0.3437 0.9400
0.5566 0.1011 0.0506
0.0418 0.1563 0.4400
0.1508 0.6222 0.8364
0.0566 0.8989 0.9494
0.5566 0.3989 0.5506
0.6508 0.3778 0.1636
0.9168 0.1809 0.2785
0.9383 0.9182 0.7713
0.4168 0.8191 0.7215
0.1508 0.8778 0.3364
0.5162 0.3993 0.9169
0.4383 0.0818 0.2287
0.0566 0.6011 0.4494
0.8348 0.8757 0.1671
0.8348 0.6243 0.6671
0.4168 0.6809 0.2215
0.0162 0.6007 0.0831
0.3113 0.1224 0.5610
0.2482 0.8795 0.0978
0.8113 0.8776 0.4390
0.7482 0.1205 0.9022
0.3113 0.3776 0.0610
0.8113 0.6224 0.9390
0.7482 0.3795 0.4022
0.2482 0.6205 0.5978
0.2393 0.3737 0.8308
0.7426 0.1255 0.1654
0.7393 0.6263 0.1692
0.2426 0.6255 0.3346
0.2393 0.1263 0.3308
0.7393 0.8737 0.6692
0.2426 0.8745 0.8346
0.7426 0.3745 0.6654
```

For the volume, the calculation gives 13.0 Å³ per atom. Its total energy is -19.932 eV/atom. For the magnetization, the calculation gives 8.00 μB/cell. The crystal system is orthorhombic.